1.
Here is a relaxed CuSbMo2O8 crystal from the Materials Project. Energies are from GGA+U.

Summary:
Total DFT energy (no corrections) ... -313.41 eV/cell
Calculated volume ... 12.684 Å³/atom
ΔH_f (0 K) ... -1729 meV/atom
Magnetization ... 0.002 μB per formula unit

a = 22.183 Å, b = 4.961 Å, c = 5.635 Å
α = 90.00°, β = 101.00°, γ = 90.00°
Space group C2/c (No. 15)
Unique sites:
Cu (0.250, 0.250, 0.000) [4 per cell]
Sb (0.000, 0.191, 0.750) [4 per cell]
Mo (0.137, 0.258, 0.277) [8 per cell]
O (0.052, 0.091, 0.119) [8 per cell]
O (0.104, 0.465, 0.486) [8 per cell]
O (0.161, 0.040, 0.962) [8 per cell]
O (0.211, 0.421, 0.289) [8 per cell]

---

2.
Here is a relaxed Sr2Cu2MoO7 crystal from the Materials Project. Energies are from GGA+U.

Summary:
Total DFT energy (no corrections) ... -283.18 eV/cell
Calculated volume ... 15.319 Å³/atom
ΔH_f (0 K) ... -1812 meV/atom
Magnetization ... 0.950 μB per formula unit

a = 7.478 Å, b = 25.893 Å, c = 5.312 Å
α = 90.00°, β = 134.37°, γ = 90.00°
Space group Cm (No. 8)
Unique sites:
Sr (0.000, 0.115, 0.000) [4 per cell]
Sr (0.484, 0.116, 0.986) [4 per cell]
Cu (0.490, 0.311, 0.488) [4 per cell]
Cu (0.494, 0.189, 0.499) [4 per cell]
Mo (0.088, 0.500, 0.511) [2 per cell]
Mo (0.405, 0.500, 0.389) [2 per cell]
O (0.021, 0.066, 0.551) [4 per cell]
O (0.040, 0.500, 0.091) [2 per cell]
O (0.241, 0.174, 0.490) [4 per cell]
O (0.242, 0.176, 0.997) [4 per cell]
O (0.242, 0.329, 0.491) [4 per cell]
O (0.243, 0.327, 0.997) [4 per cell]
O (0.408, 0.500, 0.005) [2 per cell]
O (0.476, 0.064, 0.480) [4 per cell]

---

3.
Here is a relaxed Sr4Cu2MoWO12 crystal from the Materials Project. Energies are from GGA+U.

Summary:
Total DFT energy (no corrections) ... -130.57 eV/cell
Calculated volume ... 12.919 Å³/atom
ΔH_f (0 K) ... -2416 meV/atom
Magnetization ... 2.000 μB per formula unit

a = 5.508 Å, b = 5.508 Å, c = 8.516 Å
α = 90.00°, β = 90.00°, γ = 90.00°
Space group P4/m (No. 83)
Unique sites:
Sr (0.000, 0.500, 0.249) [4 per cell]
Cu (0.000, 0.000, 0.000) [1 per cell]
Cu (0.500, 0.500, 0.500) [1 per cell]
Mo (0.500, 0.500, 0.000) [1 per cell]
W (0.000, 0.000, 0.500) [1 per cell]
O (0.000, 0.000, 0.271) [2 per cell]
O (0.203, 0.290, 0.500) [4 per cell]
O (0.210, 0.703, 0.000) [4 per cell]
O (0.500, 0.500, 0.229) [2 per cell]

---

4.
Here is a relaxed Sr2YCu2MoO7 crystal from the Materials Project. Energies are from GGA+U.

Summary:
Total DFT energy (no corrections) ... -342.35 eV/cell
Calculated volume ... 14.009 Å³/atom
ΔH_f (0 K) ... -2313 meV/atom
Magnetization ... 1.350 μB per formula unit

a = 7.761 Å, b = 23.706 Å, c = 5.543 Å
α = 90.00°, β = 134.41°, γ = 90.00°
Space group Cm (No. 8)
Unique sites:
Sr (0.000, 0.106, 0.000) [4 per cell]
Sr (0.458, 0.109, 0.957) [4 per cell]
Y (0.489, 0.251, 0.992) [4 per cell]
Cu (0.482, 0.313, 0.485) [4 per cell]
Cu (0.488, 0.188, 0.491) [4 per cell]
Mo (0.076, 0.500, 0.508) [2 per cell]
Mo (0.382, 0.500, 0.407) [2 per cell]
O (0.025, 0.074, 0.564) [4 per cell]
O (0.025, 0.500, 0.077) [2 per cell]
O (0.215, 0.185, 0.448) [4 per cell]
O (0.216, 0.314, 0.988) [4 per cell]
O (0.252, 0.189, 0.989) [4 per cell]
O (0.255, 0.312, 0.528) [4 per cell]
O (0.361, 0.500, 0.010) [2 per cell]
O (0.474, 0.075, 0.450) [4 per cell]

---

5.
Here is a relaxed TbCuMo2O8 crystal from the Materials Project. Energies are from GGA+U.

Summary:
Total DFT energy (no corrections) ... -683.73 eV/cell
Calculated volume ... 15.694 Å³/atom
ΔH_f (0 K) ... -2280 meV/atom
Magnetization ... 0.000 μB per formula unit

a = 9.905 Å, b = 14.754 Å, c = 10.310 Å
α = 90.00°, β = 90.00°, γ = 90.00°
Space group Pbca (No. 61)
Unique sites:
Tb (0.222, 0.104, 0.034) [8 per cell]
Cu (0.189, 0.197, 0.683) [8 per cell]
Mo (0.001, 0.057, 0.719) [8 per cell]
Mo (0.168, 0.653, 0.397) [8 per cell]
O (0.010, 0.168, 0.088) [8 per cell]
O (0.099, 0.523, 0.130) [8 per cell]
O (0.103, 0.623, 0.888) [8 per cell]
O (0.107, 0.002, 0.171) [8 per cell]
O (0.109, 0.133, 0.820) [8 per cell]
O (0.207, 0.537, 0.427) [8 per cell]
O (0.224, 0.680, 0.234) [8 per cell]
O (0.244, 0.228, 0.511) [8 per cell]

---

6.
Here is a relaxed TmCuMo2O8 crystal from the Materials Project. Energies are from GGA+U.

Summary:
Total DFT energy (no corrections) ... -340.18 eV/cell
Calculated volume ... 12.223 Å³/atom
ΔH_f (0 K) ... -2258 meV/atom
Magnetization ... 0.003 μB per formula unit

a = 9.837 Å, b = 11.785 Å, c = 5.064 Å
α = 90.00°, β = 92.05°, γ = 90.00°
Space group C2/c (No. 15)
Unique sites:
Tm (0.000, 0.153, 0.250) [4 per cell]
Cu (0.000, 0.340, 0.750) [4 per cell]
Mo (0.237, 0.411, 0.257) [8 per cell]
O (0.115, 0.313, 0.100) [8 per cell]
O (0.133, 0.184, 0.604) [8 per cell]
O (0.141, 0.446, 0.568) [8 per cell]
O (0.147, 0.049, 0.041) [8 per cell]